# Cs2SO4

Cs2SO4 after structural relaxation (GGA-PBE, the Materials Project).

The structure in extended XYZ format:
```
28
Lattice="8.425 0.000 0.000 0.000 6.354 0.000 0.000 0.000 11.134" Properties=species:S:1:pos:R:3 pbc="T T T"
Cs 0.070 1.589 2.194
Cs 1.494 4.766 4.579
Cs 2.718 1.589 10.146
Cs 4.142 4.766 7.761
Cs 4.283 1.589 3.373
Cs 5.707 4.766 0.988
Cs 6.931 1.589 6.556
Cs 8.355 4.766 8.940
S 2.069 4.766 0.930
S 2.144 1.589 6.497
S 6.281 4.766 4.637
S 6.356 1.589 10.205
O 0.573 4.766 0.946
O 1.638 0.363 7.199
O 1.638 2.814 7.199
O 1.643 1.589 5.081
O 2.570 4.766 10.648
O 2.574 3.540 1.632
O 2.574 5.991 1.632
O 3.639 1.589 6.513
O 4.786 4.766 4.622
O 5.851 0.363 9.502
O 5.851 2.814 9.502
O 5.855 1.589 0.486
O 6.782 4.766 6.053
O 6.787 3.540 3.935
O 6.787 5.991 3.935
O 7.852 1.589 10.189
```

Properties
**Formation energy from the elements**: -2262 meV per atom
**Space-group type**: No. 62
**E above lowest polymorph**: 0.000 eV/atom



# Hg4As2O7

Hg4As2O7 after structural relaxation (GGA-PBE, the Materials Project).

The structure in extended XYZ format:
```
52
Lattice="10.275 0.000 0.000 0.000 12.486 0.000 0.000 0.000 7.539" Properties=species:S:1:pos:R:3 pbc="T T T"
Hg 0.104 1.221 0.438
Hg 0.104 5.022 0.438
Hg 1.075 0.610 4.175
Hg 1.075 5.633 4.175
Hg 4.062 6.853 0.406
Hg 4.062 11.876 0.406
Hg 5.033 7.464 4.208
Hg 5.033 11.264 4.208
Hg 5.242 1.221 3.332
Hg 5.242 5.022 3.332
Hg 6.213 0.610 7.134
Hg 6.213 5.633 7.134
Hg 9.200 6.853 3.364
Hg 9.200 11.876 3.364
Hg 10.171 7.464 7.101
Hg 10.171 11.264 7.101
As 2.022 9.364 5.138
As 2.446 3.121 5.860
As 2.691 9.364 2.090
As 3.116 3.121 1.368
As 7.159 9.364 6.172
As 7.584 3.121 5.449
As 7.829 9.364 1.680
As 8.253 3.121 2.402
O 0.466 9.364 5.921
O 0.876 3.121 6.523
O 1.458 9.364 3.385
O 2.344 1.630 1.611
O 2.344 4.613 1.611
O 2.353 7.938 1.181
O 2.353 10.791 1.181
O 2.784 1.695 4.951
O 2.784 4.548 4.951
O 2.793 7.872 5.380
O 2.793 10.856 5.380
O 3.680 3.121 7.155
O 4.262 9.364 2.754
O 4.671 3.121 2.151
O 5.604 9.364 5.388
O 6.013 3.121 4.786
O 6.595 9.364 0.385
O 7.481 1.630 2.159
O 7.481 4.613 2.159
O 7.491 7.938 2.588
O 7.491 10.791 2.588
O 7.921 1.695 6.358
O 7.921 4.548 6.358
O 7.931 7.872 5.929
O 7.931 10.856 5.929
O 8.817 3.121 4.154
O 9.399 9.364 1.016
O 9.809 3.121 1.619
```

Properties
**Formation energy from the elements**: -1163 meV per atom
**Space-group type**: No. 62



# Na3Cu2O4

Na3Cu2O4 after structural relaxation (GGA-PBE, the Materials Project).

The structure in extended XYZ format:
```
9
Lattice="5.436 -1.445 0.000 5.436 1.445 0.000 -3.341 0.000 7.452" Properties=species:S:1:pos:R:3 pbc="T T T"
Na 0.000 0.000 0.000
Na 2.048 0.000 4.594
Na 5.482 0.000 2.858
Cu -0.742 0.000 5.808
Cu 8.272 0.000 1.644
O 1.724 0.000 2.263
O 3.995 0.000 1.154
O 3.534 0.000 6.298
O 5.806 0.000 5.189
```

Properties
**Formation energy from the elements**: -1340 meV per atom
**Space-group type**: No. 12
**E above lowest polymorph**: 0.043 eV/atom



# U3TaSb5

U3TaSb5 after structural relaxation (GGA-PBE, the Materials Project).

The structure in extended XYZ format:
```
18
Lattice="9.175 0.000 0.000 -4.587 7.945 0.000 0.000 0.000 6.065" Properties=species:S:1:pos:R:3 pbc="T T T"
U -1.759 3.046 1.516
U -2.829 4.899 4.549
U 3.517 0.000 1.516
U 1.759 3.046 4.549
U 5.657 0.000 4.549
U 2.829 4.899 1.516
Ta 0.000 0.000 0.000
Ta 0.000 0.000 3.033
Sb -1.225 2.122 4.549
Sb -3.362 5.823 1.516
Sb 2.451 0.000 4.549
Sb 1.225 2.122 1.516
Sb 0.000 5.297 0.000
Sb 0.000 5.297 3.033
Sb 4.587 2.648 0.000
Sb 4.587 2.648 3.033
Sb 6.724 0.000 1.516
Sb 3.362 5.823 4.549
```

Properties
**Formation energy from the elements**: -375 meV per atom
**Space-group type**: No. 193



# Tb6Al43Cr4

Tb6Al43Cr4 after structural relaxation (GGA-PBE, the Materials Project).

The structure in extended XYZ format:
```
106
Lattice="10.961 0.000 0.000 -5.481 9.493 0.000 0.000 0.000 17.555" Properties=species:S:1:pos:R:3 pbc="T T T"
Tb -2.579 4.467 1.672
Tb -2.579 4.467 7.106
Tb -2.901 5.025 10.450
Tb -2.901 5.025 15.883
Tb 5.158 0.000 1.672
Tb 5.158 0.000 7.106
Tb 2.579 4.467 10.450
Tb 2.579 4.467 15.883
Tb 5.803 0.000 10.450
Tb 5.803 0.000 15.883
Tb 2.901 5.025 1.672
Tb 2.901 5.025 7.106
Al -0.793 1.373 13.167
Al -0.847 1.467 2.031
Al -0.847 1.467 6.746
Al -1.377 2.386 9.318
Al -1.377 2.386 17.016
Al -4.103 7.107 0.540
Al -4.103 7.107 8.238
Al -4.634 8.026 10.809
Al -4.634 8.026 15.524
Al -4.688 8.120 4.389
Al 1.585 0.000 13.167
Al 0.793 1.373 4.389
Al -1.423 5.211 4.389
Al -1.679 5.655 13.167
Al 1.694 0.000 2.031
Al 1.694 0.000 6.746
Al 0.847 1.467 10.809
Al 0.847 1.467 15.524
Al -0.390 3.709 11.682
Al -0.390 3.709 14.651
Al -2.463 7.300 2.904
Al -2.463 7.300 5.874
Al 0.390 3.709 2.904
Al 0.390 3.709 5.874
Al -2.073 7.976 11.682
Al -2.073 7.976 14.651
Al 0.000 4.688 0.000
Al 0.000 4.688 8.778
Al -1.421 7.149 0.000
Al -1.421 7.149 8.778
Al 2.755 0.000 9.318
Al 2.755 0.000 17.016
Al 1.377 2.386 0.540
Al 1.377 2.386 8.238
Al 0.000 6.328 2.245
Al 0.000 6.328 6.533
Al 0.000 6.328 11.022
Al 0.000 6.328 15.311
Al 3.408 1.517 11.682
Al 3.408 1.517 14.651
Al 3.017 2.193 2.904
Al 3.017 2.193 5.874
Al 1.423 5.211 13.167
Al -0.256 8.120 4.389
Al 1.679 5.655 4.389
Al 0.256 8.120 13.167
Al 4.060 2.344 0.000
Al 4.060 2.344 8.778
Al 1.421 7.149 0.000
Al 1.421 7.149 8.778
Al 5.225 1.373 4.389
Al 3.801 3.838 13.167
Al 5.737 1.373 13.167
Al 4.057 4.282 4.389
Al 2.463 7.300 11.682
Al 2.463 7.300 14.651
Al 2.073 7.976 2.904
Al 2.073 7.976 5.874
Al 5.481 3.164 2.245
Al 5.481 3.164 6.533
Al 5.481 3.164 11.022
Al 5.481 3.164 15.311
Al 8.207 0.000 0.540
Al 8.207 0.000 8.238
Al 4.103 7.107 9.318
Al 4.103 7.107 17.016
Al 6.901 2.344 0.000
Al 6.901 2.344 8.778
Al 5.481 4.805 0.000
Al 5.481 4.805 8.778
Al 7.554 1.517 2.904
Al 7.554 1.517 5.874
Al 5.090 5.783 11.682
Al 5.090 5.783 14.651
Al 7.944 2.193 11.682
Al 7.944 2.193 14.651
Al 5.871 5.783 2.904
Al 5.871 5.783 5.874
Al 9.268 0.000 10.809
Al 9.268 0.000 15.524
Al 4.634 8.026 2.031
Al 4.634 8.026 6.746
Al 9.376 0.000 4.389
Al 7.160 3.838 4.389
Al 6.904 4.282 13.167
Al 4.688 8.120 13.167
Cr 0.000 0.000 0.000
Cr 0.000 0.000 8.778
Cr -1.477 2.559 4.389
Cr -4.003 6.934 13.167
Cr 2.955 0.000 4.389
Cr 1.477 2.559 13.167
Cr 8.007 0.000 13.167
Cr 4.003 6.934 4.389
```

Properties
**Formation energy from the elements**: -271 meV per atom
**Space-group type**: No. 193



# CsSrMg6

CsSrMg6 after structural relaxation (GGA-PBE, the Materials Project).

The structure in extended XYZ format:
```
16
Lattice="5.548 0.000 0.000 0.000 7.317 0.000 0.000 0.000 12.529" Properties=species:S:1:pos:R:3 pbc="T T T"
Mg 2.774 3.659 4.174
Mg 2.774 5.713 7.298
Mg 0.000 5.400 5.226
Cs 0.000 0.000 1.989
Mg 0.000 3.659 2.093
Sr 2.774 0.000 4.282
Mg 0.000 1.742 11.491
Sr 2.774 3.659 10.547
Mg 2.774 1.604 7.298
Mg 0.000 5.575 11.491
Cs 0.000 3.659 8.254
Mg 0.000 1.917 5.226
Mg 2.774 0.000 10.438
Mg 2.774 2.055 1.034
Mg 0.000 0.000 8.357
Mg 2.774 5.262 1.034
```

Properties
**Formation energy from the elements**: 260 meV per atom
**E above lowest polymorph**: 0.033 eV/atom